Compound: ZnGa2S4
Source: the Materials Project database
Functional: PBE
Structure: relaxed

a = 12.4951 Å, b = 7.3313 Å, c = 5.9927 Å
α = 90.00°, β = 90.00°, γ = 90.00°
Fractional positions:
Zn 0.2332 0.2500 0.0046
Zn 0.2668 0.7500 0.5046
Zn 0.7332 0.2500 0.4954
Zn 0.7668 0.7500 0.9954
Ga 0.0000 0.0000 0.5000
Ga 0.0000 0.5000 0.5000
Ga 0.0862 0.7500 0.0835
Ga 0.4138 0.2500 0.5835
Ga 0.5000 0.0000 0.0000
Ga 0.5000 0.5000 0.0000
Ga 0.5862 0.7500 0.4165
Ga 0.9138 0.2500 0.9165
S 0.0778 0.2500 0.7383
S 0.0900 0.7500 0.7063
S 0.1621 0.5043 0.2592
S 0.1621 0.9957 0.2592
S 0.3379 0.0043 0.7592
S 0.3379 0.4957 0.7592
S 0.4100 0.2500 0.2063
S 0.4222 0.7500 0.2383
S 0.5778 0.2500 0.7617
S 0.5900 0.7500 0.7937
S 0.6621 0.5043 0.2408
S 0.6621 0.9957 0.2408
S 0.8379 0.0043 0.7408
S 0.8379 0.4957 0.7408
S 0.9100 0.2500 0.2937
S 0.9222 0.7500 0.2617

Properties
**Space group**: Pnma
**Crystal system**: orthorhombic
**Total DFT energy (no corrections)**: -4.00 eV per atom